Computed, not measured: a geometry-optimized VPH5NO6 structure at the GGA+U level of DFT.

## Properties
As for the crystal system: orthorhombic. The uncorrected energy comes out at -6.2105 eV/atom. Its formation enthalpy at 0 K is -1663 meV per atom. The space-group type is No. 29.

Cell: 6.8795 9.1634 9.6637 Å, 90.00 90.00 90.00°
Element x y z (fractional)
V: 0.0275 0.0098 0.0000
V: 0.4725 0.0098 0.5000
V: 0.5275 0.9902 0.0000
V: 0.9725 0.9902 0.5000
P: 0.2059 0.2962 0.4327
P: 0.2941 0.2962 0.9327
P: 0.7059 0.7038 0.4327
P: 0.7941 0.7038 0.9327
H: 0.1486 0.6633 0.7169
H: 0.1625 0.7791 0.2466
H: 0.1670 0.6091 0.3169
H: 0.1753 0.7412 0.8707
H: 0.2417 0.3872 0.1430
H: 0.2583 0.3872 0.6430
H: 0.3247 0.7412 0.3707
H: 0.3330 0.6091 0.8169
H: 0.3375 0.7791 0.7466
H: 0.3514 0.6633 0.2169
H: 0.6486 0.3367 0.7169
H: 0.6625 0.2209 0.2466
H: 0.6670 0.3909 0.3169
H: 0.6753 0.2588 0.8707
H: 0.7417 0.6128 0.1430
H: 0.7583 0.6128 0.6430
H: 0.8247 0.2588 0.3707
H: 0.8330 0.3909 0.8169
H: 0.8375 0.2209 0.7466
H: 0.8514 0.3367 0.2169
N: 0.2483 0.6977 0.2866
N: 0.2517 0.6977 0.7866
N: 0.7483 0.3023 0.2866
N: 0.7517 0.3023 0.7866
O: 0.0261 0.2003 0.4737
O: 0.0294 0.0196 0.1683
O: 0.1038 0.2044 0.9380
O: 0.1722 0.3714 0.2955
O: 0.2190 0.9542 0.4473
O: 0.2222 0.4206 0.5456
O: 0.2778 0.4206 0.0456
O: 0.2810 0.9542 0.9473
O: 0.3278 0.3714 0.7955
O: 0.3962 0.2044 0.4380
O: 0.4706 0.0196 0.6683
O: 0.4739 0.2003 0.9737
O: 0.5261 0.7997 0.4737
O: 0.5294 0.9804 0.1683
O: 0.6038 0.7956 0.9380
O: 0.6722 0.6286 0.2955
O: 0.7190 0.0458 0.4473
O: 0.7222 0.5794 0.5456
O: 0.7778 0.5794 0.0456
O: 0.7810 0.0458 0.9473
O: 0.8278 0.6286 0.7955
O: 0.8962 0.7956 0.4380
O: 0.9706 0.9804 0.6683
O: 0.9739 0.7997 0.9737